Entry 1:
Density functional theory data (meta-GGA r2SCAN) for an optimized crystal structure of Th6MnBr15.

Values from the calculation:
As for the space group: Im-3m.

Unit cell a=10.133 b=10.133 c=10.133 alpha=109.47 beta=109.47 gamma=109.47
Element x y z (fractional)
Th  0.000  0.242  0.242
Th  0.000  0.758  0.758
Th  0.242  0.000  0.242
Th  0.242  0.242  0.000
Th  0.758  0.000  0.758
Th  0.758  0.758  0.000
Mn  0.000  0.000  0.000
Br  0.000  0.251  0.749
Br  0.000  0.500  0.500
Br  0.000  0.749  0.251
Br  0.251  0.000  0.749
Br  0.251  0.251  0.503
Br  0.251  0.503  0.251
Br  0.251  0.749  0.000
Br  0.497  0.749  0.749
Br  0.500  0.000  0.500
Br  0.500  0.500  0.000
Br  0.503  0.251  0.251
Br  0.749  0.000  0.251
Br  0.749  0.251  0.000
Br  0.749  0.497  0.749
Br  0.749  0.749  0.497



Entry 2:
Density functional theory data (meta-GGA r2SCAN) for an optimized crystal structure of NaErTl2.

Values from the calculation:
As for the space group: Fm-3m.

Unit cell a=5.262 b=5.262 c=5.262 alpha=60.00 beta=60.00 gamma=60.00
Element x y z (fractional)
Na  0.000  0.000  0.000
Er  0.500  0.500  0.500
Tl  0.250  0.250  0.250
Tl  0.750  0.750  0.750



Entry 3:
Density functional theory data (meta-GGA r2SCAN) for an optimized crystal structure of Fe2NiP.

Values from the calculation:
As for the space group: I-4.

Unit cell a=6.723 b=6.723 c=6.723 alpha=96.14 beta=96.14 gamma=141.81
Element x y z (fractional)
Fe  0.125  0.453  0.611
Fe  0.168  0.353  0.967
Fe  0.386  0.201  0.033
Fe  0.486  0.875  0.329
Fe  0.547  0.157  0.671
Fe  0.647  0.614  0.815
Fe  0.799  0.832  0.185
Fe  0.843  0.514  0.389
Ni  0.069  0.021  0.607
Ni  0.413  0.462  0.393
Ni  0.538  0.931  0.952
Ni  0.979  0.587  0.048
P  0.063  0.725  0.756
P  0.275  0.031  0.338
P  0.693  0.937  0.662
P  0.969  0.307  0.244



Entry 4:
Density functional theory data (meta-GGA r2SCAN) for an optimized crystal structure of Ce3TiSb5.

Values from the calculation:
As for the space group: P6_3/mcm.

Unit cell a=9.461 b=9.461 c=6.279 alpha=90.00 beta=90.00 gamma=120.00
Element x y z (fractional)
Ce  0.000  0.383  0.250
Ce  0.000  0.617  0.750
Ce  0.383  0.000  0.250
Ce  0.383  0.383  0.750
Ce  0.617  0.000  0.750
Ce  0.617  0.617  0.250
Ti  0.000  0.000  0.000
Ti  0.000  0.000  0.500
Sb  0.000  0.251  0.750
Sb  0.000  0.749  0.250
Sb  0.251  0.000  0.750
Sb  0.251  0.251  0.250
Sb  0.333  0.667  0.000
Sb  0.333  0.667  0.500
Sb  0.667  0.333  0.000
Sb  0.667  0.333  0.500
Sb  0.749  0.000  0.250
Sb  0.749  0.749  0.750



Entry 5:
Density functional theory data (meta-GGA r2SCAN) for an optimized crystal structure of TaMnO4.

Unit cell a=4.974 b=5.689 c=9.285 alpha=90.00 beta=91.80 gamma=90.00
Element x y z (fractional)
O  0.426  0.386  0.362
O  0.929  0.123  0.386
O  0.429  0.877  0.886
O  0.429  0.877  0.386
Mn  0.250  0.158  0.000
O  0.929  0.123  0.886
O  0.571  0.123  0.614
O  0.574  0.614  0.138
O  0.074  0.386  0.638
O  0.071  0.877  0.114
O  0.071  0.877  0.614
O  0.426  0.386  0.862
Mn  0.250  0.158  0.500
O  0.574  0.614  0.638
Mn  0.750  0.842  0.500
Ta  0.250  0.669  0.750
O  0.926  0.614  0.862
O  0.074  0.386  0.138
Ta  0.750  0.331  0.750
Mn  0.750  0.842  0.000
O  0.571  0.123  0.114
O  0.926  0.614  0.362
Ta  0.750  0.331  0.250
Ta  0.250  0.669  0.250



Entry 6:
Density functional theory data (meta-GGA r2SCAN) for an optimized crystal structure of SrInPt.

Values from the calculation:
As for the space group: Pnma.

Unit cell a=7.615 b=4.566 c=8.487 alpha=90.00 beta=90.00 gamma=90.00
Element x y z (fractional)
Sr  0.030  0.250  0.178
Sr  0.470  0.750  0.678
Sr  0.530  0.250  0.322
Sr  0.970  0.750  0.822
In  0.146  0.250  0.566
In  0.354  0.750  0.066
In  0.646  0.250  0.934
In  0.854  0.750  0.434
Pt  0.221  0.750  0.379
Pt  0.279  0.250  0.879
Pt  0.721  0.750  0.121
Pt  0.779  0.250  0.621



no.,E_form (eV per atom),total moment (μB/f.u.),energy (eV for the cell shown)
1,-1.740,2.00,-692.70
2,-0.296,0.00,-145.03
3,-0.305,4.80,-204.12
4,-1.087,2.99,-487.54
5,-2.687,4.00,-413.15
6,-0.873,0.00,-367.32